[1]
A relaxed AgHgO2 crystal. Source: the Materials Project, functional GGA-PBE.

Energy with MP2020 corrections, eV/cell: -30.13

abc: 5.687 3.905 6.134
angles: 90.00 107.88 90.00
Space group P2_1/c (No. 14)
One atom of each set of equivalent atoms:
Ag (0.000, 0.000, 0.000) [2 per cell]
Hg (0.500, 0.000, 0.500) [2 per cell]
O (0.217, 0.204, 0.795) [4 per cell]

[2]
A relaxed Ag5HgSbO6 crystal. Source: the Materials Project, functional GGA-PBE.

Energy with MP2020 corrections, eV/cell: -117.71

abc: 6.0431 6.0431 12.5574
angles: 90.00 90.00 120.00
Space group P-31c (No. 163)
One atom of each set of equivalent atoms:
Ag (0.0000, 0.0000, 0.1217) [4 per cell]
Ag (0.0000, 0.5000, 0.0000) [6 per cell]
Hg (0.3333, 0.6667, 0.2500) [2 per cell]
Sb (0.3333, 0.6667, 0.7500) [2 per cell]
O (0.0463, 0.3951, 0.8421) [12 per cell]

[3]
A relaxed Ag2HgSe2O6 crystal. Source: the Materials Project, functional GGA-PBE.

Energy with MP2020 corrections, eV/cell: -421.84

abc: 7.057 11.410 17.260
angles: 90.00 90.00 90.00
Space group Pbca (No. 61)
One atom of each set of equivalent atoms:
Ag (0.116, 0.094, 0.242) [8 per cell]
Ag (0.148, 0.619, 0.044) [8 per cell]
Hg (0.125, 0.161, 0.851) [8 per cell]
Se (0.163, 0.132, 0.645) [8 per cell]
Se (0.165, 0.618, 0.431) [8 per cell]
O (0.141, 0.063, 0.736) [8 per cell]
O (0.150, 0.672, 0.337) [8 per cell]
O (0.166, 0.219, 0.465) [8 per cell]
O (0.172, 0.539, 0.604) [8 per cell]
O (0.191, 0.748, 0.163) [8 per cell]
O (0.196, 0.506, 0.920) [8 per cell]

[4]
A relaxed Ag2Hg2Te3O12 crystal. Source: the Materials Project, functional GGA-PBE.

Energy with MP2020 corrections, eV/cell: -192.21

abc: 6.580 6.306 14.527
angles: 90.00 112.84 90.00
Space group P2_1/c (No. 14)
One atom of each set of equivalent atoms:
Ag (0.105, 0.133, 0.290) [4 per cell]
Hg (0.294, 0.542, 0.099) [4 per cell]
Te (0.000, 0.000, 0.000) [2 per cell]
Te (0.410, 0.594, 0.393) [4 per cell]
O (0.001, 0.218, 0.444) [4 per cell]
O (0.117, 0.629, 0.405) [4 per cell]
O (0.264, 0.032, 0.767) [4 per cell]
O (0.291, 0.060, 0.109) [4 per cell]
O (0.400, 0.615, 0.852) [4 per cell]
O (0.451, 0.186, 0.962) [4 per cell]

[5]
A relaxed PmAgHg2 crystal. Source: the Materials Project, functional GGA-PBE.

E_tot, eV per atom: -2.412

abc: 7.224 7.224 7.224
angles: 90.00 90.00 90.00
Space group Fm-3m (No. 225)
One atom of each set of equivalent atoms:
Pm (0.000, 0.000, 0.000) [4 per cell]
Ag (0.000, 0.000, 0.500) [4 per cell]
Hg (0.250, 0.250, 0.250) [8 per cell]

[6]
A relaxed Ag2HgS2 crystal. Source: the Materials Project, functional GGA-PBE.

Energy with MP2020 corrections, eV/cell: -31.04

abc: 4.198 7.980 6.823
angles: 90.00 110.24 90.00
Space group P2_1/c (No. 14)
One atom of each set of equivalent atoms:
Ag (0.120, 0.150, 0.402) [4 per cell]
Hg (0.500, 0.000, 0.000) [2 per cell]
S (0.310, 0.625, 0.765) [4 per cell]